Record 1
Sr3Co2O6: relaxed, GGA+U.

Properties
Energy above the most stable polymorph in this dataset = 0.033 eV per atom
Energy of formation = -2.288 eV/atom
Total DFT energy (no corrections) = -6.0676 eV/atom

Cell lengths 6.528, 7.019, 6.524 Å; angles 91.60, 94.75, 91.58 degrees
Atoms (fractional coordinates):
Sr (0.618, 0.889, 0.254)
Sr (0.884, 0.250, 0.616)
Sr (0.246, 0.611, 0.882)
Sr (0.116, 0.750, 0.384)
Sr (0.754, 0.389, 0.118)
Sr (0.382, 0.111, 0.746)
Co (0.500, 0.500, 0.500)
Co (0.000, 0.000, 0.000)
Co (0.242, 0.250, 0.258)
Co (0.758, 0.750, 0.742)
O (0.532, 0.208, 0.390)
O (0.213, 0.418, 0.522)
O (0.427, 0.561, 0.235)
O (0.023, 0.917, 0.714)
O (0.890, 0.708, 0.032)
O (0.735, 0.061, 0.926)
O (0.468, 0.792, 0.610)
O (0.787, 0.583, 0.478)
O (0.573, 0.439, 0.765)
O (0.977, 0.083, 0.286)
O (0.110, 0.292, 0.968)
O (0.265, 0.939, 0.074)

Record 2
Na2CeWO6: relaxed, GGA+U.

Properties
Energy of formation = -2.645 eV/atom
Total DFT energy (no corrections) = -6.9117 eV/atom

Cell lengths 5.905, 5.905, 5.905 Å; angles 60.00, 60.00, 60.00 degrees
Atoms (fractional coordinates):
Na (0.250, 0.250, 0.250)
Na (0.750, 0.750, 0.750)
Ce (0.000, 0.000, 0.000)
W (0.500, 0.500, 0.500)
O (0.733, 0.267, 0.267)
O (0.267, 0.733, 0.733)
O (0.733, 0.267, 0.733)
O (0.267, 0.733, 0.267)
O (0.733, 0.733, 0.267)
O (0.267, 0.267, 0.733)

Record 3
Mn4O7F: relaxed, GGA+U.

Properties
Size of the total moment = 13.00 μB/f.u.
Energy above the most stable polymorph in this dataset = 0.006 eV per atom
Energy of formation = -1.885 eV/atom
Total DFT energy (no corrections) = -6.9894 eV/atom

Cell lengths 10.990, 4.470, 4.979 Å; angles 89.79, 90.00, 90.00 degrees
Atoms (fractional coordinates):
Mn (0.666, 0.014, 0.752)
Mn (0.334, 0.014, 0.252)
Mn (0.822, 0.006, 0.235)
Mn (0.178, 0.006, 0.735)
Mn (0.067, 0.485, 0.260)
Mn (0.426, 0.509, 0.753)
Mn (0.574, 0.509, 0.253)
Mn (0.933, 0.485, 0.760)
O (0.305, 0.235, 0.920)
O (0.695, 0.235, 0.420)
O (0.807, 0.231, 0.914)
O (0.193, 0.231, 0.414)
O (0.448, 0.279, 0.430)
O (0.552, 0.279, 0.930)
O (0.944, 0.256, 0.426)
O (0.056, 0.256, 0.926)
O (0.445, 0.738, 0.081)
O (0.555, 0.738, 0.581)
O (0.944, 0.724, 0.080)
O (0.056, 0.724, 0.580)
O (0.306, 0.771, 0.573)
O (0.694, 0.771, 0.073)
F (0.811, 0.754, 0.577)
F (0.189, 0.754, 0.077)

Record 4
Nd2MnNiO6: relaxed, GGA+U.

Properties
Size of the total moment = 5.00 μB/f.u.
Energy of formation = -2.780 eV/atom
Total DFT energy (no corrections) = -7.3639 eV/atom

Cell lengths 5.598, 5.444, 9.474 Å; angles 54.89, 90.00, 90.00 degrees
Atoms (fractional coordinates):
Nd (0.446, 0.262, 0.251)
Nd (0.946, 0.738, 0.249)
Nd (0.554, 0.738, 0.749)
Nd (0.054, 0.262, 0.751)
Mn (0.000, 0.500, 0.000)
Mn (0.500, 0.500, 0.500)
Ni (0.000, 0.000, 0.500)
Ni (0.500, 0.000, 0.000)
O (0.200, 0.741, 0.044)
O (0.700, 0.259, 0.456)
O (0.800, 0.259, 0.956)
O (0.300, 0.741, 0.544)
O (0.216, 0.348, 0.453)
O (0.716, 0.652, 0.047)
O (0.784, 0.652, 0.547)
O (0.284, 0.348, 0.953)
O (0.478, 0.173, 0.742)
O (0.978, 0.827, 0.758)
O (0.522, 0.827, 0.258)
O (0.022, 0.173, 0.242)

Record 5
Fe2PbSe4O12: relaxed, GGA+U.

Properties
Size of the total moment = 0.00 μB/f.u.
Energy of formation = -1.437 eV/atom
Total DFT energy (no corrections) = -5.7133 eV/atom

Cell lengths 6.983, 9.426, 9.363 Å; angles 68.71, 95.73, 90.01 degrees
Atoms (fractional coordinates):
Fe (0.000, 0.750, 0.752)
Fe (0.500, 0.750, 0.248)
Fe (0.000, 0.250, 0.252)
Fe (0.500, 0.250, 0.748)
Pb (0.007, 0.532, 0.482)
Pb (0.007, 0.032, 0.982)
Se (0.554, 0.127, 0.133)
Se (0.554, 0.627, 0.633)
Se (0.446, 0.873, 0.868)
Se (0.446, 0.373, 0.368)
Se (0.800, 0.098, 0.579)
Se (0.800, 0.598, 0.079)
Se (0.199, 0.903, 0.420)
Se (0.199, 0.403, 0.920)
O (0.716, 0.722, 0.712)
O (0.716, 0.222, 0.212)
O (0.284, 0.277, 0.288)
O (0.284, 0.777, 0.789)
O (0.988, 0.184, 0.479)
O (0.988, 0.684, 0.979)
O (0.012, 0.811, 0.521)
O (0.012, 0.311, 0.021)
O (0.655, 0.624, 0.468)
O (0.655, 0.124, 0.968)
O (0.348, 0.376, 0.532)
O (0.348, 0.876, 0.032)
O (0.928, 0.964, 0.742)
O (0.929, 0.464, 0.242)
O (0.071, 0.035, 0.257)
O (0.071, 0.535, 0.757)
O (0.592, 0.944, 0.266)
O (0.592, 0.444, 0.766)
O (0.402, 0.056, 0.736)
O (0.402, 0.556, 0.236)
O (0.750, 0.233, 0.658)
O (0.750, 0.733, 0.158)
O (0.251, 0.762, 0.348)
O (0.251, 0.262, 0.848)

Record 6
Ba2V2O5: relaxed, GGA+U.

Properties
Size of the total moment = 4.00 μB/f.u.
Energy of formation = -2.676 eV/atom
Total DFT energy (no corrections) = -7.1102 eV/atom

Cell lengths 4.045, 8.088, 9.251 Å; angles 64.09, 89.98, 90.00 degrees
Atoms (fractional coordinates):
Ba (0.008, 0.000, 0.000)
Ba (0.008, 0.500, 0.000)
Ba (0.011, 0.750, 0.500)
Ba (0.011, 0.250, 0.500)
V (0.513, 0.619, 0.262)
V (0.513, 0.881, 0.738)
V (0.513, 0.119, 0.262)
V (0.513, 0.381, 0.738)
O (0.486, 0.000, 0.500)
O (0.484, 0.500, 0.500)
O (0.496, 0.885, 0.230)
O (0.495, 0.385, 0.230)
O (0.495, 0.615, 0.771)
O (0.495, 0.115, 0.771)
O (0.991, 0.136, 0.227)
O (0.990, 0.635, 0.229)
O (0.990, 0.864, 0.772)
O (0.989, 0.364, 0.772)

Record 7
Ca3Hf2Fe2SiO12: relaxed, GGA+U.

Properties
Size of the total moment = 10.00 μB/f.u.
Energy of formation = -3.208 eV/atom
Total DFT energy (no corrections) = -7.9534 eV/atom

Cell lengths 10.999, 10.999, 10.999 Å; angles 109.04, 109.04, 110.35 degrees
Atoms (fractional coordinates):
Ca (0.375, 0.749, 0.874)
Ca (0.250, 0.250, 0.000)
Ca (0.999, 0.625, 0.874)
Ca (0.751, 0.125, 0.126)
Ca (0.375, 0.249, 0.374)
Ca (0.750, 0.750, 0.000)
Ca (0.500, 0.000, 0.500)
Ca (0.875, 0.501, 0.126)
Ca (0.499, 0.625, 0.374)
Ca (0.251, 0.125, 0.626)
Ca (0.000, 0.500, 0.500)
Ca (0.875, 0.001, 0.626)
Hf (0.125, 0.875, 0.750)
Hf (0.625, 0.875, 0.750)
Hf (0.125, 0.375, 0.750)
Hf (0.625, 0.375, 0.750)
Hf (0.125, 0.875, 0.250)
Hf (0.625, 0.875, 0.250)
Hf (0.125, 0.375, 0.250)
Hf (0.625, 0.375, 0.250)
Fe (0.501, 0.125, 0.876)
Fe (0.875, 0.251, 0.876)
Fe (0.375, 0.999, 0.124)
Fe (0.249, 0.625, 0.124)
Fe (0.001, 0.125, 0.376)
Fe (0.875, 0.751, 0.376)
Fe (0.375, 0.499, 0.624)
Fe (0.749, 0.625, 0.624)
Si (0.000, 0.000, 0.000)
Si (0.500, 0.500, 0.000)
Si (0.750, 0.250, 0.500)
Si (0.250, 0.750, 0.500)
O (0.326, 0.377, 0.864)
O (0.548, 0.974, 0.875)
O (0.531, 0.696, 0.780)
O (0.304, 0.084, 0.836)
O (0.031, 0.251, 0.836)
O (0.038, 0.986, 0.864)
O (0.224, 0.849, 0.926)
O (0.416, 0.196, 0.164)
O (0.526, 0.952, 0.125)
O (0.538, 0.674, 0.052)
O (0.922, 0.298, 0.074)
O (0.749, 0.584, 0.780)
O (0.202, 0.578, 0.926)
O (0.826, 0.962, 0.948)
O (0.123, 0.174, 0.136)
O (0.651, 0.276, 0.074)
O (0.014, 0.877, 0.052)
O (0.828, 0.401, 0.875)
O (0.514, 0.462, 0.136)
O (0.334, 0.999, 0.280)
O (0.446, 0.781, 0.280)
O (0.099, 0.672, 0.125)
O (0.001, 0.281, 0.336)
O (0.623, 0.486, 0.948)
O (0.249, 0.469, 0.164)
O (0.627, 0.264, 0.552)
O (0.151, 0.078, 0.375)
O (0.804, 0.969, 0.220)
O (0.916, 0.751, 0.220)
O (0.736, 0.288, 0.364)
O (0.422, 0.349, 0.625)
O (0.236, 0.873, 0.448)
O (0.599, 0.474, 0.426)
O (0.127, 0.576, 0.364)
O (0.424, 0.788, 0.552)
O (0.048, 0.172, 0.574)
O (0.501, 0.166, 0.720)
O (0.328, 0.452, 0.426)
O (0.712, 0.076, 0.448)
O (0.724, 0.798, 0.375)
O (0.834, 0.554, 0.336)
O (0.026, 0.901, 0.574)
O (0.212, 0.764, 0.636)
O (0.219, 0.499, 0.664)
O (0.946, 0.666, 0.664)
O (0.719, 0.054, 0.720)
O (0.702, 0.776, 0.625)
O (0.924, 0.373, 0.636)

Record 8
Li3V3P8O29: relaxed, GGA+U.

Properties
Size of the total moment = 0.00 μB/f.u.
Energy above the most stable polymorph in this dataset = 0.012 eV per atom
Energy of formation = -2.521 eV/atom
Total DFT energy (no corrections) = -7.0499 eV/atom

Cell lengths 9.747, 9.762, 14.243 Å; angles 90.52, 89.93, 119.94 degrees
Atoms (fractional coordinates):
Li (0.657, 0.323, 0.607)
Li (0.920, 0.693, 0.446)
Li (0.231, 0.323, 0.057)
Li (0.091, 0.771, 0.050)
Li (0.947, 0.975, 0.993)
Li (0.016, 0.056, 0.513)
V (0.000, 0.428, 0.750)
V (0.003, 0.562, 0.251)
V (0.441, 0.437, 0.253)
V (0.567, 0.570, 0.752)
V (0.434, 0.999, 0.751)
V (0.562, 0.998, 0.252)
P (0.306, 0.082, 0.161)
P (0.308, 0.217, 0.661)
P (0.781, 0.085, 0.655)
P (0.668, 0.335, 0.868)
P (0.670, 0.335, 0.369)
P (0.912, 0.219, 0.162)
P (0.088, 0.309, 0.344)
P (0.779, 0.692, 0.156)
P (0.226, 0.309, 0.843)
P (0.906, 0.682, 0.659)
P (0.086, 0.775, 0.839)
P (0.332, 0.664, 0.631)
P (0.332, 0.665, 0.133)
P (0.223, 0.918, 0.346)
P (0.695, 0.780, 0.339)
P (0.698, 0.921, 0.840)
O (0.204, 0.990, 0.432)
O (0.349, 0.081, 0.666)
O (0.214, 0.232, 0.934)
O (0.343, 0.257, 0.163)
O (0.464, 0.081, 0.175)
O (0.523, 0.187, 0.820)
O (0.626, 0.094, 0.665)
O (0.794, 0.996, 0.925)
O (0.738, 0.085, 0.168)
O (0.523, 0.338, 0.323)
O (0.470, 0.373, 0.668)
O (0.668, 0.188, 0.325)
O (0.668, 0.339, 0.971)
O (0.669, 0.342, 0.473)
O (0.817, 0.337, 0.823)
O (0.617, 0.537, 0.171)
O (0.664, 0.480, 0.821)
O (0.918, 0.262, 0.666)
O (0.995, 0.199, 0.255)
O (0.019, 0.224, 0.431)
O (0.000, 0.210, 0.079)
O (0.916, 0.380, 0.175)
O (0.819, 0.488, 0.330)
O (0.086, 0.342, 0.830)
O (0.893, 0.518, 0.671)
O (0.734, 0.653, 0.667)
O (0.210, 0.196, 0.757)
O (0.206, 0.198, 0.580)
O (0.786, 0.782, 0.423)
O (0.263, 0.350, 0.327)
O (0.085, 0.466, 0.328)
O (0.914, 0.651, 0.166)
O (0.179, 0.525, 0.676)
O (0.084, 0.617, 0.825)
O (0.015, 0.791, 0.928)
O (0.982, 0.765, 0.570)
O (0.996, 0.793, 0.749)
O (0.084, 0.741, 0.335)
O (0.330, 0.513, 0.170)
O (0.383, 0.466, 0.827)
O (0.184, 0.668, 0.179)
O (0.318, 0.667, 0.029)
O (0.330, 0.665, 0.527)
O (0.347, 0.817, 0.679)
O (0.535, 0.620, 0.325)
O (0.472, 0.652, 0.677)
O (0.260, 0.915, 0.830)
O (0.204, 0.005, 0.255)
O (0.209, 0.992, 0.078)
O (0.383, 0.920, 0.329)
O (0.478, 0.811, 0.180)
O (0.543, 0.927, 0.829)
O (0.654, 0.744, 0.830)
O (0.800, 0.784, 0.070)
O (0.798, 0.799, 0.247)
O (0.656, 0.915, 0.334)
O (0.806, 0.010, 0.571)
O (0.800, 0.002, 0.748)

Record 9
Fe3O4F2: relaxed, GGA+U.

Properties
Size of the total moment = 14.00 μB/f.u.
Energy above the most stable polymorph in this dataset = 0.026 eV per atom
Energy of formation = -1.776 eV/atom
Total DFT energy (no corrections) = -6.0637 eV/atom

Cell lengths 5.599, 5.599, 7.257 Å; angles 72.18, 72.18, 72.08 degrees
Atoms (fractional coordinates):
Fe (0.353, 0.647, 0.000)
Fe (0.985, 0.356, 0.846)
Fe (0.341, 0.659, 0.500)
Fe (0.993, 0.305, 0.327)
Fe (0.695, 0.007, 0.673)
Fe (0.644, 0.015, 0.154)
O (0.642, 0.358, 0.500)
O (0.882, 0.228, 0.133)
O (0.242, 0.565, 0.788)
O (0.435, 0.758, 0.212)
O (0.772, 0.118, 0.867)
O (0.042, 0.958, 0.500)
O (0.696, 0.659, 0.832)
O (0.341, 0.304, 0.168)
F (0.301, 0.036, 0.832)
F (0.573, 0.902, 0.468)
F (0.098, 0.427, 0.532)
F (0.964, 0.699, 0.168)

Record 10
MnH2Cl2O: relaxed, GGA+U.

Properties
Size of the total moment = 0.00 μB/f.u.
Energy of formation = -1.306 eV/atom
Total DFT energy (no corrections) = -5.0126 eV/atom

Cell lengths 3.770, 9.105, 11.693 Å; angles 90.00, 90.00, 90.00 degrees
Atoms (fractional coordinates):
Mn (0.750, 0.817, 0.518)
Mn (0.250, 0.183, 0.482)
Mn (0.750, 0.317, 0.982)
Mn (0.250, 0.683, 0.018)
H (0.750, 0.188, 0.763)
H (0.750, 0.688, 0.737)
H (0.250, 0.812, 0.237)
H (0.250, 0.312, 0.263)
H (0.750, 0.055, 0.852)
H (0.750, 0.555, 0.648)
H (0.250, 0.945, 0.148)
H (0.250, 0.445, 0.352)
Cl (0.250, 0.190, 0.092)
Cl (0.250, 0.690, 0.408)
Cl (0.750, 0.810, 0.908)
Cl (0.750, 0.310, 0.592)
Cl (0.250, 0.464, 0.877)
Cl (0.250, 0.964, 0.623)
Cl (0.750, 0.536, 0.123)
Cl (0.750, 0.036, 0.377)
O (0.750, 0.162, 0.845)
O (0.750, 0.662, 0.655)
O (0.250, 0.838, 0.155)
O (0.250, 0.338, 0.345)